InAgSe2 | GGA-PBE | optimized geometry

```
InAgSe2
1.0
4.044 0.000 0.000
0.000 4.044 0.000
0.000 0.000 5.647
In Ag Se
1 1 2
Direct
0.000 0.000 0.000
0.500 0.500 0.500
0.000 0.000 0.500
0.500 0.500 0.000
```

Values from the calculation:
Formation enthalpy at 0 K in eV/atom: -0.515
Space-group type: P4/mmm
Spin magnetization in Bohr magnetons per cell: 0.00
MP2020-corrected energy in eV/cell: -14.6
Final energy in eV/cell: -13.7